No. 1
This record from the Materials Project describes a relaxed NdAl8Cr4 crystal. The functional is GGA-PBE.

## Properties
The volume is 205.0 Å³/cell. The calculation puts the energy of formation at -192.8 meV/atom. Its density is 4.60 g/cm³.

Cell lengths 5.0601, 6.8489, 6.8489 Å; angles 82.16, 68.32, 68.32 degrees
Fractional coordinates of all 13 atoms:
Nd  0.0000  0.0000  0.0000
Al  0.0000  0.3408  0.6592
Al  0.0000  0.6592  0.3408
Al  0.6592  0.3408  0.3408
Al  0.3408  0.6592  0.6592
Al  0.5000  0.7739  0.2261
Al  0.5000  0.2261  0.7739
Al  0.7261  0.7739  0.7739
Al  0.2739  0.2261  0.2261
Cr  0.0000  0.0000  0.5000
Cr  0.5000  0.0000  0.5000
Cr  0.5000  0.5000  0.0000
Cr  0.0000  0.5000  0.0000


No. 2
This record from the Materials Project describes a relaxed NdAl20Cr2 crystal. The functional is GGA-PBE.

## Properties
The volume is 804.3 Å³/cell. The calculation puts the energy of formation at 68.5 meV/atom. Its density is 3.25 g/cm³.

Cell lengths 10.4387, 10.4387, 10.4387 Å; angles 60.00, 60.00, 60.00 degrees
Fractional coordinates of all 46 atoms:
Nd  0.5000  0.5000  0.5000
Nd  0.7500  0.7500  0.7500
Al  0.8624  0.8624  0.1376
Al  0.1376  0.1376  0.8624
Al  0.8624  0.1376  0.8624
Al  0.1376  0.8624  0.1376
Al  0.1376  0.8624  0.8624
Al  0.8624  0.1376  0.1376
Al  0.3876  0.3876  0.1124
Al  0.1124  0.1124  0.3876
Al  0.3876  0.1124  0.3876
Al  0.1124  0.3876  0.1124
Al  0.1124  0.3876  0.3876
Al  0.3876  0.1124  0.1124
Al  0.5701  0.3011  0.3011
Al  0.3011  0.5701  0.8277
Al  0.3011  0.8277  0.5701
Al  0.8277  0.3011  0.3011
Al  0.3011  0.3011  0.5701
Al  0.5701  0.8277  0.3011
Al  0.8277  0.5701  0.3011
Al  0.3011  0.3011  0.8277
Al  0.3011  0.5701  0.3011
Al  0.8277  0.3011  0.5701
Al  0.5701  0.3011  0.8277
Al  0.3011  0.8277  0.3011
Al  0.6799  0.9489  0.9489
Al  0.9489  0.6799  0.4223
Al  0.9489  0.4223  0.6799
Al  0.4223  0.9489  0.9489
Al  0.9489  0.9489  0.6799
Al  0.6799  0.4223  0.9489
Al  0.4223  0.6799  0.9489
Al  0.9489  0.9489  0.4223
Al  0.9489  0.6799  0.9489
Al  0.4223  0.9489  0.6799
Al  0.6799  0.9489  0.4223
Al  0.9489  0.4223  0.9489
Al  0.6250  0.1250  0.1250
Al  0.1250  0.6250  0.1250
Al  0.1250  0.1250  0.6250
Al  0.1250  0.1250  0.1250
Cr  0.1250  0.6250  0.6250
Cr  0.6250  0.1250  0.6250
Cr  0.6250  0.6250  0.1250
Cr  0.6250  0.6250  0.6250


No. 3
This record from the Materials Project describes a relaxed AlCrNi crystal. The functional is GGA-PBE.

## Properties
The volume is 76.5 Å³/cell. The calculation puts the energy of formation at -30.9 meV/atom. Its density is 5.98 g/cm³.

Cell lengths 4.9087, 4.9087, 4.9087 Å; angles 127.85, 121.63, 82.07 degrees
Fractional coordinates of all 6 atoms:
Al  0.3603  0.1103  0.2500
Al  0.6397  0.8897  0.7500
Cr  0.0000  0.0000  0.5000
Cr  0.0000  0.5000  0.0000
Ni  0.0000  0.5000  0.5000
Ni  0.5000  0.5000  0.0000


No. 4
This record from the Materials Project describes a relaxed AlCrNi2 crystal. The functional is GGA-PBE.

## Properties
The volume is 48.5 Å³/cell. The calculation puts the energy of formation at -262.2 meV/atom. Its density is 6.73 g/cm³.

Cell lengths 4.0924, 4.0924, 4.0924 Å; angles 60.00, 60.00, 60.00 degrees
Fractional coordinates of all 4 atoms:
Al  0.0000  0.0000  0.0000
Cr  0.5000  0.5000  0.5000
Ni  0.2500  0.2500  0.2500
Ni  0.7500  0.7500  0.7500


No. 5
This record from the Materials Project describes a relaxed Al2CrS4 crystal. The functional is GGA-PBE.

## Properties
The volume is 254.9 Å³/cell. The calculation puts the energy of formation at -1154.1 meV/atom. Its density is 3.05 g/cm³.

Cell lengths 7.1132, 7.1132, 7.1132 Å; angles 120.50, 119.24, 90.22 degrees
Fractional coordinates of all 14 atoms:
Al  0.8810  0.1310  0.7500
Al  0.1190  0.8690  0.2500
Al  0.0000  0.5000  0.5000
Al  0.5000  0.5000  0.0000
Cr  0.5000  0.5000  0.5000
Cr  0.5000  0.0000  0.0000
S  0.2551  0.7413  0.5138
S  0.7275  0.7413  0.9862
S  0.2568  0.2715  0.5147
S  0.2568  0.7421  0.9853
S  0.7432  0.2579  0.0147
S  0.7432  0.7285  0.4853
S  0.2725  0.2587  0.0138
S  0.7449  0.2587  0.4862


No. 6
This record from the Materials Project describes a relaxed Al4CrS8 crystal. The functional is GGA-PBE.

## Properties
The volume is 242.1 Å³/cell. The calculation puts the energy of formation at -1112.1 meV/atom. Its density is 2.86 g/cm³.

Cell lengths 6.9959, 6.9959, 6.9959 Å; angles 60.00, 60.00, 60.00 degrees
Fractional coordinates of all 13 atoms:
Al  0.5816  0.1395  0.1395
Al  0.1395  0.5816  0.1395
Al  0.1395  0.1395  0.5816
Al  0.1395  0.1395  0.1395
Cr  0.7500  0.7500  0.7500
S  0.3635  0.8788  0.8788
S  0.8788  0.3635  0.8788
S  0.8788  0.8788  0.3635
S  0.8788  0.8788  0.8788
S  0.8791  0.3736  0.3736
S  0.3736  0.8791  0.3736
S  0.3736  0.3736  0.8791
S  0.3736  0.3736  0.3736


No. 7
This record from the Materials Project describes a relaxed Al13Cr4Si4 crystal. The functional is GGA-PBE.

## Properties
The volume is 324.7 Å³/cell. The calculation puts the energy of formation at -168.5 meV/atom. Its density is 3.43 g/cm³.

Cell lengths 7.7151, 7.7151, 7.7151 Å; angles 60.00, 60.00, 60.00 degrees
Fractional coordinates of all 21 atoms:
Al  0.2500  0.2500  0.2500
Al  0.5593  0.5593  0.9407
Al  0.9407  0.5593  0.5593
Al  0.5593  0.9407  0.9407
Al  0.9407  0.9407  0.5593
Al  0.9407  0.5593  0.9407
Al  0.5593  0.9407  0.5593
Al  0.3091  0.3091  0.6909
Al  0.6909  0.3091  0.3091
Al  0.3091  0.6909  0.6909
Al  0.6909  0.6909  0.3091
Al  0.6909  0.3091  0.6909
Al  0.3091  0.6909  0.3091
Cr  0.9078  0.2767  0.9078
Cr  0.9078  0.9078  0.2767
Cr  0.2767  0.9078  0.9078
Cr  0.9078  0.9078  0.9078
Si  0.1226  0.6323  0.1226
Si  0.1226  0.1226  0.6323
Si  0.6323  0.1226  0.1226
Si  0.1226  0.1226  0.1226


No. 8
This record from the Materials Project describes a relaxed Al8Cr4Si3 crystal. The functional is GGA-PBE.

## Properties
The volume is 211.1 Å³/cell. The calculation puts the energy of formation at -133.3 meV/atom. Its density is 4.00 g/cm³.

Cell lengths 4.9350, 5.1461, 8.8995 Å; angles 72.73, 82.91, 78.62 degrees
Fractional coordinates of all 15 atoms:
Al  0.0547  0.1476  0.1806
Al  0.9453  0.8524  0.8194
Al  0.5801  0.0415  0.1230
Al  0.4199  0.9585  0.8770
Al  0.1766  0.6452  0.1356
Al  0.8234  0.3548  0.8644
Al  0.4952  0.2259  0.3713
Al  0.5048  0.7741  0.6287
Cr  0.3236  0.7393  0.3764
Cr  0.6764  0.2607  0.6236
Cr  0.7032  0.5492  0.1005
Cr  0.2968  0.4508  0.8995
Si  0.0000  0.0000  0.5000
Si  0.1614  0.4139  0.6258
Si  0.8386  0.5861  0.3742


No. 9
This record from the Materials Project describes a relaxed AlCr6Si crystal. The functional is GGA-PBE.

## Properties
The volume is 94.7 Å³/cell. The calculation puts the energy of formation at -200.6 meV/atom. Its density is 6.43 g/cm³.

Cell lengths 4.5589, 4.5589, 4.5589 Å; angles 90.00, 90.00, 90.00 degrees
Fractional coordinates of all 8 atoms:
Al  0.5000  0.5000  0.5000
Cr  0.0000  0.5000  0.7543
Cr  0.5000  0.2457  0.0000
Cr  0.7543  0.0000  0.5000
Cr  0.0000  0.5000  0.2457
Cr  0.5000  0.7543  0.0000
Cr  0.2457  0.0000  0.5000
Si  0.0000  0.0000  0.0000


No. 10
This record from the Materials Project describes a relaxed SmAl8Cr4 crystal. The functional is GGA-PBE.

## Properties
The volume is 205.6 Å³/cell. The calculation puts the energy of formation at -201.8 meV/atom. Its density is 4.64 g/cm³.

Cell lengths 5.0789, 6.8503, 6.8503 Å; angles 82.10, 68.24, 68.24 degrees
Fractional coordinates of all 13 atoms:
Sm  0.0000  0.0000  0.0000
Al  0.0000  0.6619  0.3381
Al  0.0000  0.3381  0.6619
Al  0.6619  0.3381  0.3381
Al  0.3381  0.6619  0.6619
Al  0.5000  0.2252  0.7748
Al  0.5000  0.7748  0.2252
Al  0.7252  0.7748  0.7748
Al  0.2748  0.2252  0.2252
Cr  0.5000  0.5000  0.0000
Cr  0.0000  0.5000  0.0000
Cr  0.0000  0.0000  0.5000
Cr  0.5000  0.0000  0.5000


No. 11
This record from the Materials Project describes a relaxed Sm6Al39Cr8 crystal. The functional is GGA-PBE.

## Properties
The volume is 1809.4 Å³/cell. The calculation puts the energy of formation at -273.4 meV/atom. Its density is 4.35 g/cm³.

Cell lengths 10.9459, 10.9459, 17.4386 Å; angles 90.00, 90.00, 120.00 degrees
Fractional coordinates of all 106 atoms:
Sm  0.4672  0.4672  0.9031
Sm  0.5328  0.5328  0.0969
Sm  0.0000  0.5328  0.9031
Sm  0.5328  0.5328  0.4031
Sm  0.0000  0.5328  0.5969
Sm  0.0000  0.4672  0.0969
Sm  0.4672  0.4672  0.5969
Sm  0.0000  0.4672  0.4031
Sm  0.5328  0.0000  0.9031
Sm  0.4672  0.0000  0.0969
Sm  0.4672  0.0000  0.4031
Sm  0.5328  0.0000  0.5969
Al  0.8471  0.4514  0.7500
Al  0.1529  0.5486  0.2500
Al  0.6043  0.1529  0.7500
Al  0.3957  0.5486  0.7500
Al  0.3957  0.8471  0.2500
Al  0.6043  0.4514  0.2500
Al  0.5486  0.3957  0.7500
Al  0.4514  0.8471  0.7500
Al  0.4514  0.6043  0.2500
Al  0.5486  0.1529  0.2500
Al  0.1529  0.6043  0.7500
Al  0.8471  0.3957  0.2500
Al  0.8453  0.8453  0.3847
Al  0.1547  0.1547  0.6153
Al  0.0000  0.1547  0.3847
Al  0.1547  0.1547  0.8847
Al  0.0000  0.1547  0.1153
Al  0.0000  0.8453  0.6153
Al  0.8453  0.8453  0.1153
Al  0.0000  0.8453  0.8847
Al  0.1547  0.0000  0.3847
Al  0.8453  0.0000  0.6153
Al  0.8453  0.0000  0.8847
Al  0.1547  0.0000  0.1153
Al  0.7505  0.2495  0.0000
Al  0.2495  0.7505  0.0000
Al  0.4989  0.2495  0.0000
Al  0.2495  0.7505  0.5000
Al  0.5011  0.7505  0.5000
Al  0.5011  0.7505  0.0000
Al  0.7505  0.2495  0.5000
Al  0.4989  0.2495  0.5000
Al  0.7505  0.5011  0.0000
Al  0.2495  0.4989  0.0000
Al  0.2495  0.4989  0.5000
Al  0.7505  0.5011  0.5000
Al  0.8494  0.8494  0.7500
Al  0.1506  0.1506  0.2500
Al  0.0000  0.1506  0.7500
Al  0.0000  0.8494  0.2500
Al  0.1506  0.0000  0.7500
Al  0.8494  0.0000  0.2500
Al  0.7503  0.7503  0.9708
Al  0.2497  0.2497  0.0292
Al  0.0000  0.2497  0.9708
Al  0.2497  0.2497  0.4708
Al  0.0000  0.2497  0.5292
Al  0.0000  0.7503  0.0292
Al  0.7503  0.7503  0.5292
Al  0.0000  0.7503  0.4708
Al  0.2497  0.0000  0.9708
Al  0.7503  0.0000  0.0292
Al  0.7503  0.0000  0.4708
Al  0.2497  0.0000  0.5292
Al  0.8357  0.2317  0.8377
Al  0.1643  0.7683  0.1623
Al  0.3961  0.1643  0.8377
Al  0.1643  0.7683  0.3377
Al  0.6039  0.7683  0.6623
Al  0.6039  0.8357  0.1623
Al  0.8357  0.2317  0.6623
Al  0.3961  0.2317  0.3377
Al  0.7683  0.6039  0.8377
Al  0.6039  0.8357  0.3377
Al  0.2317  0.8357  0.6623
Al  0.2317  0.3961  0.1623
Al  0.3961  0.1643  0.6623
Al  0.7683  0.1643  0.3377
Al  0.3961  0.2317  0.1623
Al  0.6039  0.7683  0.8377
Al  0.2317  0.3961  0.3377
Al  0.7683  0.1643  0.1623
Al  0.7683  0.6039  0.6623
Al  0.2317  0.8357  0.8377
Al  0.1643  0.3961  0.6623
Al  0.8357  0.6039  0.3377
Al  0.8357  0.6039  0.1623
Al  0.1643  0.3961  0.8377
Cr  0.6667  0.3333  0.8678
Cr  0.3333  0.6667  0.1322
Cr  0.3333  0.6667  0.3678
Cr  0.3333  0.6667  0.6322
Cr  0.6667  0.3333  0.6322
Cr  0.6667  0.3333  0.3678
Cr  0.6667  0.3333  0.1322
Cr  0.3333  0.6667  0.8678
Cr  0.0000  0.0000  0.0000
Cr  0.0000  0.0000  0.5000
Cr  0.2579  0.2579  0.7500
Cr  0.7421  0.7421  0.2500
Cr  0.0000  0.7421  0.7500
Cr  0.0000  0.2579  0.2500
Cr  0.7421  0.0000  0.7500
Cr  0.2579  0.0000  0.2500


The highest density belongs to which entry? AlCrNi2